# 1
Compound: PrCl3
Source: Materials Project
Functional: r2SCAN
Structure: optimized geometry

Cell: 7.500 7.500 4.301 Å, 90.00 90.00 120.00°
Element x y z (fractional)
Pr (0.667, 0.333, 0.750)
Pr (0.333, 0.667, 0.250)
Cl (0.611, 0.697, 0.750)
Cl (0.914, 0.611, 0.250)
Cl (0.389, 0.303, 0.250)
Cl (0.086, 0.389, 0.750)
Cl (0.303, 0.914, 0.750)
Cl (0.697, 0.086, 0.250)

Values from the calculation:
symmetry = No. 176
E = -14.5581 eV per atom

***

# 2
Compound: PtCl3
Source: Materials Project
Functional: r2SCAN
Structure: optimized geometry

Cell: 12.756 12.756 12.756 Å, 115.01 115.01 115.01°
Element x y z (fractional)
Pt (0.231, 0.803, 0.477)
Pt (0.803, 0.477, 0.231)
Pt (0.477, 0.231, 0.803)
Pt (0.769, 0.197, 0.523)
Pt (0.197, 0.523, 0.769)
Pt (0.523, 0.769, 0.197)
Pt (0.754, 0.934, 0.834)
Pt (0.934, 0.834, 0.754)
Pt (0.834, 0.754, 0.934)
Pt (0.246, 0.066, 0.166)
Pt (0.066, 0.166, 0.246)
Pt (0.166, 0.246, 0.066)
Cl (0.465, 0.855, 0.631)
Cl (0.855, 0.631, 0.465)
Cl (0.631, 0.465, 0.855)
Cl (0.535, 0.145, 0.369)
Cl (0.145, 0.369, 0.535)
Cl (0.369, 0.535, 0.145)
Cl (0.169, 0.651, 0.240)
Cl (0.651, 0.240, 0.169)
Cl (0.240, 0.169, 0.651)
Cl (0.831, 0.349, 0.760)
Cl (0.349, 0.760, 0.831)
Cl (0.760, 0.831, 0.349)
Cl (0.097, 0.078, 0.824)
Cl (0.824, 0.097, 0.078)
Cl (0.078, 0.824, 0.097)
Cl (0.903, 0.922, 0.176)
Cl (0.176, 0.903, 0.922)
Cl (0.922, 0.176, 0.903)
Cl (0.400, 0.302, 0.224)
Cl (0.224, 0.400, 0.302)
Cl (0.302, 0.224, 0.400)
Cl (0.600, 0.698, 0.776)
Cl (0.776, 0.600, 0.698)
Cl (0.698, 0.776, 0.600)
Cl (0.444, 0.600, 0.948)
Cl (0.948, 0.444, 0.600)
Cl (0.600, 0.948, 0.444)
Cl (0.556, 0.400, 0.052)
Cl (0.052, 0.556, 0.400)
Cl (0.400, 0.052, 0.556)
Cl (0.692, 0.026, 0.270)
Cl (0.270, 0.692, 0.026)
Cl (0.026, 0.270, 0.692)
Cl (0.308, 0.974, 0.730)
Cl (0.730, 0.308, 0.974)
Cl (0.974, 0.730, 0.308)

Values from the calculation:
symmetry = No. 148
E = -17.9892 eV per atom

***

# 3
Compound: Tl2PtCl6
Source: Materials Project
Functional: r2SCAN
Structure: optimized geometry

Cell: 6.949 6.949 6.949 Å, 60.00 60.00 60.00°
Element x y z (fractional)
Tl (0.250, 0.250, 0.250)
Tl (0.750, 0.750, 0.750)
Pt (0.000, 0.000, 0.000)
Cl (0.763, 0.237, 0.237)
Cl (0.763, 0.763, 0.237)
Cl (0.237, 0.237, 0.763)
Cl (0.763, 0.237, 0.763)
Cl (0.237, 0.763, 0.237)
Cl (0.237, 0.763, 0.763)

Values from the calculation:
symmetry = No. 225
E = -22.5473 eV per atom

***

# 4
Compound: PuCl3
Source: Materials Project
Functional: r2SCAN
Structure: optimized geometry

Cell: 7.391 7.391 4.253 Å, 90.00 90.00 120.00°
Element x y z (fractional)
Pu (0.667, 0.333, 0.750)
Pu (0.333, 0.667, 0.250)
Cl (0.612, 0.697, 0.750)
Cl (0.915, 0.611, 0.250)
Cl (0.389, 0.303, 0.250)
Cl (0.085, 0.388, 0.750)
Cl (0.303, 0.915, 0.750)
Cl (0.697, 0.085, 0.250)

Values from the calculation:
symmetry = No. 176
E = -28.5478 eV per atom

***

# 5
Compound: Rb4SbRhCl12
Source: Materials Project
Functional: r2SCAN
Structure: optimized geometry

Cell: 7.091 7.091 10.204 Å, 90.00 90.00 90.00°
Element x y z (fractional)
Rb (0.500, 0.000, 0.783)
Rb (0.000, 0.500, 0.217)
Rb (0.500, 0.000, 0.217)
Rb (0.000, 0.500, 0.783)
Sb (0.500, 0.500, 0.500)
Rh (0.000, 0.000, 0.000)
Cl (0.000, 0.000, 0.768)
Cl (0.500, 0.500, 0.265)
Cl (0.738, 0.738, 0.500)
Cl (0.236, 0.236, 0.000)
Cl (0.738, 0.262, 0.500)
Cl (0.236, 0.764, 0.000)
Cl (0.000, 0.000, 0.232)
Cl (0.500, 0.500, 0.735)
Cl (0.262, 0.262, 0.500)
Cl (0.764, 0.764, 0.000)
Cl (0.262, 0.738, 0.500)
Cl (0.764, 0.236, 0.000)

Values from the calculation:
symmetry = No. 123
E = -11.4395 eV per atom

***

# 6
Compound: Rb3SbCl6
Source: Materials Project
Functional: r2SCAN
Structure: optimized geometry

Cell: 8.062 8.062 8.062 Å, 60.00 60.00 60.00°
Element x y z (fractional)
Rb (0.750, 0.750, 0.750)
Rb (0.250, 0.250, 0.250)
Rb (0.500, 0.500, 0.500)
Sb (0.000, 0.000, 0.000)
Cl (0.769, 0.231, 0.231)
Cl (0.231, 0.231, 0.769)
Cl (0.231, 0.769, 0.769)
Cl (0.231, 0.769, 0.231)
Cl (0.769, 0.231, 0.769)
Cl (0.769, 0.769, 0.231)

Values from the calculation:
symmetry = No. 225
E = -12.0799 eV per atom

***

# 7
Compound: Rb3ScCl6
Source: Materials Project
Functional: r2SCAN
Structure: optimized geometry

Cell: 7.834 7.834 7.834 Å, 60.00 60.00 60.00°
Element x y z (fractional)
Rb (0.750, 0.750, 0.750)
Rb (0.250, 0.250, 0.250)
Rb (0.500, 0.500, 0.500)
Sc (0.000, 0.000, 0.000)
Cl (0.776, 0.224, 0.224)
Cl (0.224, 0.224, 0.776)
Cl (0.224, 0.776, 0.776)
Cl (0.224, 0.776, 0.224)
Cl (0.776, 0.224, 0.776)
Cl (0.776, 0.776, 0.224)

Values from the calculation:
symmetry = No. 225
E = -11.2554 eV per atom

***

# 8
Compound: RbSm2Cl7
Source: Materials Project
Functional: r2SCAN
Structure: optimized geometry

Cell: 7.082 12.913 13.079 Å, 90.00 90.00 90.00°
Element x y z (fractional)
Rb (0.250, 0.804, 0.040)
Rb (0.750, 0.196, 0.960)
Rb (0.750, 0.304, 0.460)
Rb (0.250, 0.696, 0.540)
Sm (0.250, 0.461, 0.235)
Sm (0.750, 0.539, 0.765)
Sm (0.750, 0.961, 0.265)
Sm (0.250, 0.039, 0.735)
Sm (0.250, 0.157, 0.248)
Sm (0.750, 0.843, 0.752)
Sm (0.750, 0.657, 0.252)
Sm (0.250, 0.343, 0.748)
Cl (0.006, 0.307, 0.172)
Cl (0.994, 0.693, 0.828)
Cl (0.994, 0.807, 0.328)
Cl (0.506, 0.693, 0.828)
Cl (0.006, 0.193, 0.672)
Cl (0.494, 0.307, 0.172)
Cl (0.494, 0.193, 0.672)
Cl (0.506, 0.807, 0.328)
Cl (0.011, 0.580, 0.117)
Cl (0.989, 0.420, 0.883)
Cl (0.989, 0.080, 0.383)
Cl (0.511, 0.420, 0.883)
Cl (0.011, 0.920, 0.617)
Cl (0.489, 0.580, 0.117)
Cl (0.489, 0.920, 0.617)
Cl (0.511, 0.080, 0.383)
Cl (0.009, 0.039, 0.128)
Cl (0.991, 0.961, 0.872)
Cl (0.991, 0.539, 0.372)
Cl (0.509, 0.961, 0.872)
Cl (0.009, 0.461, 0.628)
Cl (0.491, 0.039, 0.128)
Cl (0.491, 0.461, 0.628)
Cl (0.509, 0.539, 0.372)
Cl (0.250, 0.312, 0.395)
Cl (0.750, 0.688, 0.605)
Cl (0.750, 0.812, 0.105)
Cl (0.250, 0.188, 0.895)

Values from the calculation:
symmetry = No. 62
E = -14.1632 eV per atom

***

# 9
Compound: Rb2SnCl6
Source: Materials Project
Functional: r2SCAN
Structure: optimized geometry

Cell: 7.186 7.186 7.186 Å, 60.00 60.00 60.00°
Element x y z (fractional)
Rb (0.250, 0.250, 0.250)
Rb (0.750, 0.750, 0.750)
Sn (0.000, 0.000, 0.000)
Cl (0.241, 0.759, 0.759)
Cl (0.241, 0.759, 0.241)
Cl (0.759, 0.241, 0.759)
Cl (0.759, 0.241, 0.241)
Cl (0.759, 0.759, 0.241)
Cl (0.241, 0.241, 0.759)

Values from the calculation:
symmetry = No. 225
E = -11.6147 eV per atom

***

# 10
Compound: RbSr2Cl5
Source: Materials Project
Functional: r2SCAN
Structure: optimized geometry

Cell: 7.941 9.043 12.746 Å, 89.83 90.00 90.00°
Element x y z (fractional)
Rb (0.446, 0.489, 0.834)
Rb (0.554, 0.511, 0.166)
Rb (0.946, 0.511, 0.666)
Rb (0.054, 0.489, 0.334)
Sr (0.477, 0.999, 0.823)
Sr (0.523, 0.001, 0.177)
Sr (0.977, 0.001, 0.677)
Sr (0.023, 0.999, 0.323)
Sr (0.434, 0.752, 0.506)
Sr (0.566, 0.248, 0.494)
Sr (0.934, 0.248, 0.994)
Sr (0.066, 0.752, 0.006)
Cl (0.327, 0.466, 0.582)
Cl (0.673, 0.534, 0.418)
Cl (0.827, 0.534, 0.918)
Cl (0.173, 0.466, 0.082)
Cl (0.667, 0.789, 0.684)
Cl (0.333, 0.211, 0.316)
Cl (0.167, 0.211, 0.816)
Cl (0.833, 0.789, 0.184)
Cl (0.191, 0.775, 0.784)
Cl (0.809, 0.225, 0.216)
Cl (0.691, 0.225, 0.716)
Cl (0.309, 0.775, 0.284)
Cl (0.050, 0.789, 0.502)
Cl (0.950, 0.211, 0.498)
Cl (0.550, 0.211, 0.998)
Cl (0.450, 0.789, 0.002)
Cl (0.840, 0.962, 0.899)
Cl (0.160, 0.038, 0.101)
Cl (0.340, 0.038, 0.601)
Cl (0.660, 0.962, 0.399)

Values from the calculation:
symmetry = No. 14
E = -11.9971 eV per atom

***

# 11
Compound: RbTaCl6
Source: Materials Project
Functional: r2SCAN
Structure: optimized geometry

Cell: 6.286 6.820 12.216 Å, 100.47 90.00 117.44°
Element x y z (fractional)
Rb (0.893, 0.000, 0.750)
Rb (0.107, 0.000, 0.250)
Ta (0.500, 0.500, 0.000)
Ta (0.000, 0.500, 0.500)
Cl (0.477, 0.163, 0.895)
Cl (0.523, 0.837, 0.105)
Cl (0.314, 0.837, 0.605)
Cl (0.686, 0.163, 0.395)
Cl (0.373, 0.571, 0.836)
Cl (0.627, 0.429, 0.164)
Cl (0.802, 0.429, 0.664)
Cl (0.198, 0.571, 0.336)
Cl (0.797, 0.702, 0.464)
Cl (0.203, 0.298, 0.536)
Cl (0.095, 0.298, 0.036)
Cl (0.905, 0.702, 0.964)

Values from the calculation:
symmetry = No. 15
E = -14.1577 eV per atom

***

# 12
Compound: Rb2TcCl6
Source: Materials Project
Functional: r2SCAN
Structure: optimized geometry

Cell: 7.081 7.081 7.081 Å, 60.00 60.00 60.00°
Element x y z (fractional)
Rb (0.250, 0.250, 0.250)
Rb (0.750, 0.750, 0.750)
Tc (0.000, 0.000, 0.000)
Cl (0.764, 0.236, 0.236)
Cl (0.236, 0.764, 0.764)
Cl (0.236, 0.764, 0.236)
Cl (0.764, 0.236, 0.764)
Cl (0.236, 0.236, 0.764)
Cl (0.764, 0.764, 0.236)

Values from the calculation:
symmetry = No. 225
E = -11.6825 eV per atom

***

# 13
Compound: RbTlCl2
Source: Materials Project
Functional: r2SCAN
Structure: optimized geometry

Cell: 9.232 9.232 9.233 Å, 120.00 120.00 90.00°
Element x y z (fractional)
Rb (0.625, 0.875, 0.250)
Rb (0.625, 0.375, 0.250)
Rb (0.625, 0.375, 0.750)
Rb (0.125, 0.375, 0.750)
Tl (0.125, 0.375, 0.250)
Tl (0.125, 0.875, 0.250)
Tl (0.125, 0.875, 0.750)
Tl (0.625, 0.875, 0.750)
Cl (0.369, 0.124, 0.247)
Cl (0.877, 0.123, 0.247)
Cl (0.373, 0.119, 0.747)
Cl (0.881, 0.626, 0.253)
Cl (0.374, 0.627, 0.747)
Cl (0.373, 0.627, 0.253)
Cl (0.877, 0.631, 0.753)
Cl (0.876, 0.123, 0.753)

Values from the calculation:
symmetry = No. 227
E = -21.4806 eV per atom

***

# 14
Compound: Rb3TmCl6
Source: Materials Project
Functional: r2SCAN
Structure: optimized geometry

Cell: 13.443 13.443 12.729 Å, 80.96 80.96 34.12°
Element x y z (fractional)
Rb (0.294, 0.810, 0.563)
Rb (0.706, 0.190, 0.437)
Rb (0.190, 0.706, 0.937)
Rb (0.810, 0.294, 0.063)
Rb (0.471, 0.837, 0.855)
Rb (0.529, 0.163, 0.145)
Rb (0.163, 0.529, 0.645)
Rb (0.837, 0.471, 0.355)
Rb (0.654, 0.022, 0.802)
Rb (0.346, 0.978, 0.198)
Rb (0.978, 0.346, 0.698)
Rb (0.022, 0.654, 0.302)
Tm (0.791, 0.209, 0.750)
Tm (0.209, 0.791, 0.250)
Tm (0.500, 0.000, 0.500)
Tm (0.000, 0.500, 0.000)
Cl (0.622, 0.723, 0.578)
Cl (0.378, 0.277, 0.422)
Cl (0.277, 0.378, 0.922)
Cl (0.723, 0.622, 0.078)
Cl (0.507, 0.374, 0.680)
Cl (0.493, 0.626, 0.320)
Cl (0.626, 0.493, 0.820)
Cl (0.374, 0.507, 0.180)
Cl (0.786, 0.858, 0.534)
Cl (0.214, 0.142, 0.466)
Cl (0.142, 0.214, 0.966)
Cl (0.858, 0.786, 0.034)
Cl (0.903, 0.977, 0.200)
Cl (0.097, 0.023, 0.800)
Cl (0.023, 0.097, 0.300)
Cl (0.977, 0.903, 0.700)
Cl (0.728, 0.158, 0.936)
Cl (0.272, 0.842, 0.064)
Cl (0.842, 0.272, 0.564)
Cl (0.158, 0.728, 0.436)
Cl (0.366, 0.134, 0.687)
Cl (0.634, 0.866, 0.313)
Cl (0.866, 0.634, 0.813)
Cl (0.134, 0.366, 0.187)

Values from the calculation:
symmetry = No. 15
E = -13.7700 eV per atom

***

# 15
Compound: Rb2UCl5
Source: Materials Project
Functional: r2SCAN
Structure: optimized geometry

Cell: 8.240 8.954 13.242 Å, 90.00 90.00 90.00°
Element x y z (fractional)
Rb (0.444, 0.506, 0.671)
Rb (0.944, 0.494, 0.829)
Rb (0.556, 0.006, 0.329)
Rb (0.056, 0.994, 0.171)
Rb (0.944, 0.006, 0.829)
Rb (0.444, 0.994, 0.671)
Rb (0.056, 0.506, 0.171)
Rb (0.556, 0.494, 0.329)
U (0.927, 0.750, 0.506)
U (0.427, 0.250, 0.994)
U (0.073, 0.250, 0.494)
U (0.573, 0.750, 0.006)
Cl (0.338, 0.957, 0.925)
Cl (0.838, 0.043, 0.575)
Cl (0.662, 0.457, 0.075)
Cl (0.162, 0.543, 0.425)
Cl (0.662, 0.043, 0.075)
Cl (0.162, 0.957, 0.425)
Cl (0.338, 0.543, 0.925)
Cl (0.838, 0.457, 0.575)
Cl (0.382, 0.750, 0.179)
Cl (0.882, 0.250, 0.321)
Cl (0.618, 0.250, 0.821)
Cl (0.118, 0.750, 0.679)
Cl (0.086, 0.250, 0.990)
Cl (0.586, 0.750, 0.510)
Cl (0.914, 0.750, 0.010)
Cl (0.414, 0.250, 0.490)
Cl (0.657, 0.750, 0.801)
Cl (0.157, 0.250, 0.699)
Cl (0.343, 0.250, 0.199)
Cl (0.843, 0.750, 0.301)

Values from the calculation:
symmetry = No. 62
E = -19.5547 eV per atom